# 1
## Ca3Si2O7 (GGA-PBE)

Data for Ca3Si2O7 after structural relaxation.

- Formation energy from the elements: -3.462 eV per atom
- Distance to the lowest polymorph of the same formula: 0.0000 eV per atom
- Final energy: -705.9 eV/cell
- Magnetic moment: 0.000 μB/atom

Cell lengths 22.232, 5.139, 11.555 Å; angles 90.00, 90.00, 90.00 degrees
Space group Ima2 (No. 46)
Unique sites:
Ca 0.000 0.000 0.000
Ca 0.104 0.005 0.728
Ca 0.168 0.005 0.021
Ca 0.250 0.501 0.797
Si 0.000 0.000 0.252
Si 0.101 0.561 0.919
Si 0.250 0.071 0.607
O 0.041 0.180 0.171
O 0.041 0.689 0.842
O 0.092 0.696 0.046
O 0.097 0.245 0.914
O 0.159 0.700 0.856
O 0.191 0.202 0.674
O 0.250 0.206 0.476
O 0.250 0.748 0.108


# 2
## Ca3Si2O7 (GGA-PBE)

Data for Ca3Si2O7 after structural relaxation.

- Formation energy from the elements: -3.456 eV per atom
- Distance to the lowest polymorph of the same formula: 0.0064 eV per atom
- Final energy: -352.7 eV/cell
- Magnetic moment: 0.000 μB/atom

Cell lengths 7.927, 8.994, 10.680 Å; angles 90.00, 119.33, 90.00 degrees
Space group P2_1/c (No. 14)
Unique sites:
Ca 0.208 0.075 0.169
Ca 0.286 0.094 0.843
Ca 0.290 0.560 0.008
Si 0.015 0.216 0.411
Si 0.433 0.733 0.296
O 0.027 0.104 0.901
O 0.062 0.165 0.573
O 0.157 0.140 0.359
O 0.210 0.654 0.203
O 0.420 0.603 0.857
O 0.452 0.102 0.089
O 0.491 0.239 0.321


# 3
## Ca5Si6O18 (GGA-PBE)

Data for Ca5Si6O18 after structural relaxation.

- Formation energy from the elements: -3.220 eV per atom
- Final energy: -212.7 eV/cell
- Magnetic moment: 0.068 μB/atom

Cell lengths 6.720, 6.722, 9.619 Å; angles 92.97, 98.50, 113.30 degrees
Space group P1 (No. 1)
Unique sites:
Ca 0.000 0.000 0.000
Ca 0.008 0.278 0.384
Ca 0.432 0.959 0.776
Ca 0.494 0.509 0.995
Ca 0.926 0.468 0.769
Si 0.263 0.893 0.321
Si 0.361 0.404 0.664
Si 0.567 0.062 0.109
Si 0.663 0.575 0.450
Si 0.931 0.979 0.669
Si 0.993 0.489 0.100
O 0.049 0.853 0.765
O 0.110 0.022 0.274
O 0.116 0.193 0.608
O 0.124 0.391 0.009
O 0.143 0.628 0.254
O 0.311 0.583 0.754
O 0.316 0.908 0.494
O 0.392 0.131 0.013
O 0.421 0.472 0.506
O 0.499 0.991 0.263
O 0.538 0.338 0.759
O 0.609 0.557 0.276
O 0.616 0.884 0.016
O 0.778 0.833 0.519
O 0.803 0.078 0.762
O 0.811 0.276 0.162
O 0.817 0.447 0.496
O 0.878 0.617 0.004


# 4
## Ca5Si6O22 (GGA-PBE)

Data for Ca5Si6O22 after structural relaxation.

- Formation energy from the elements: -2.307 eV per atom
- Distance to the lowest polymorph of the same formula: 0.0672 eV per atom
- Final energy: -227.6 eV/cell
- Magnetic moment: 0.121 μB/atom

Cell lengths 6.718, 6.772, 11.688 Å; angles 89.28, 79.23, 66.64 degrees
Space group P1 (No. 1)
Unique sites:
Ca 0.000 0.000 0.000
Ca 0.070 0.489 0.846
Ca 0.490 0.506 0.020
Ca 0.565 0.976 0.822
Ca 0.887 0.990 0.506
Si 0.063 0.010 0.733
Si 0.435 0.049 0.094
Si 0.490 0.776 0.559
Si 0.570 0.721 0.277
Si 0.639 0.430 0.728
Si 0.998 0.470 0.108
O 0.012 0.541 0.648
O 0.076 0.219 0.412
O 0.085 0.873 0.307
O 0.092 0.634 0.036
O 0.180 0.108 0.810
O 0.209 0.266 0.141
O 0.215 0.887 0.605
O 0.384 0.887 0.013
O 0.435 0.590 0.231
O 0.455 0.374 0.816
O 0.516 0.948 0.216
O 0.522 0.763 0.418
O 0.567 0.529 0.605
O 0.608 0.914 0.607
O 0.619 0.121 0.016
O 0.713 0.585 0.800
O 0.751 0.151 0.332
O 0.834 0.570 0.236
O 0.855 0.195 0.680
O 0.876 0.386 0.024
O 0.928 0.031 0.253
O 0.962 0.860 0.811


# 5
## CaSiO5 (GGA-PBE)

Data for CaSiO5 after structural relaxation.

- Formation energy from the elements: -2.102 eV per atom
- Final energy: -173.8 eV/cell
- Magnetic moment: 0.286 μB/atom

Cell lengths 5.912, 11.330, 5.695 Å; angles 90.00, 108.04, 90.00 degrees
Space group C2/c (No. 15)
Unique sites:
Ca 0.000 0.093 0.250
Si 0.000 0.396 0.250
O 0.000 0.269 0.750
O 0.007 0.288 0.040
O 0.244 0.466 0.364